1.
This record from the Materials Project describes an optimized crystal structure of Zr2Ir. The functional is meta-GGA r2SCAN.

abc: 8.8408 8.8408 8.8408
angles: 60.00 60.00 60.00
Fractional coordinates of all 24 atoms:
Zr  0.0000  0.0000  0.0000
Zr  0.0000  0.0000  0.5000
Zr  0.0000  0.5000  0.0000
Zr  0.1879  0.1879  0.5621
Zr  0.1879  0.5621  0.1879
Zr  0.1879  0.5621  0.5621
Zr  0.4379  0.4379  0.8121
Zr  0.4379  0.8121  0.4379
Zr  0.4379  0.8121  0.8121
Zr  0.5000  0.0000  0.0000
Zr  0.5621  0.1879  0.1879
Zr  0.5621  0.1879  0.5621
Zr  0.5621  0.5621  0.1879
Zr  0.8121  0.4379  0.4379
Zr  0.8121  0.4379  0.8121
Zr  0.8121  0.8121  0.4379
Ir  0.1718  0.7761  0.7761
Ir  0.2239  0.2239  0.2239
Ir  0.2239  0.2239  0.8282
Ir  0.2239  0.8282  0.2239
Ir  0.7761  0.1718  0.7761
Ir  0.7761  0.7761  0.1718
Ir  0.7761  0.7761  0.7761
Ir  0.8282  0.2239  0.2239

Calculated volume ... 20.4 Å³ per atom
Energy of formation from the pure elements ... -0.7238 eV/atom


2.
This record from the Materials Project describes an optimized crystal structure of BaPr2PdO5. The functional is meta-GGA r2SCAN.

abc: 6.8198 6.8198 5.9409
angles: 90.00 90.00 90.00
Fractional coordinates of all 18 atoms:
Ba  0.0000  0.0000  0.0000
Ba  0.5000  0.5000  0.0000
Pr  0.1727  0.3273  0.5000
Pr  0.3273  0.8273  0.5000
Pr  0.6727  0.1727  0.5000
Pr  0.8273  0.6727  0.5000
Pd  0.0000  0.5000  0.0000
Pd  0.5000  0.0000  0.0000
O  0.0000  0.0000  0.5000
O  0.1405  0.6405  0.2487
O  0.1405  0.6405  0.7513
O  0.3595  0.1405  0.2487
O  0.3595  0.1405  0.7513
O  0.5000  0.5000  0.5000
O  0.6405  0.8595  0.2487
O  0.6405  0.8595  0.7513
O  0.8595  0.3595  0.2487
O  0.8595  0.3595  0.7513

Calculated volume ... 15.4 Å³ per atom
Energy of formation from the pure elements ... -2.8470 eV/atom


3.
This record from the Materials Project describes an optimized crystal structure of EuPS3. The functional is meta-GGA r2SCAN.

abc: 6.6448 7.5529 11.2956
angles: 90.00 124.35 90.00
Fractional coordinates of all 20 atoms:
Eu  0.2082  0.1159  0.2498
Eu  0.2082  0.3841  0.7498
Eu  0.7918  0.6159  0.2502
Eu  0.7918  0.8841  0.7502
P  0.1314  0.6070  0.0660
P  0.1314  0.8930  0.5660
P  0.8686  0.1070  0.4340
P  0.8686  0.3930  0.9340
S  0.0858  0.1997  0.9400
S  0.0858  0.3003  0.4400
S  0.2804  0.6873  0.9604
S  0.2804  0.8127  0.4604
S  0.3675  0.5005  0.2606
S  0.3675  0.9995  0.7606
S  0.6325  0.0005  0.2394
S  0.6325  0.4995  0.7394
S  0.7196  0.1873  0.5396
S  0.7196  0.3127  0.0396
S  0.9142  0.6997  0.5600
S  0.9142  0.8003  0.0600

Calculated volume ... 23.4 Å³ per atom
Energy of formation from the pure elements ... -1.2887 eV/atom